(w)
Mg6TiVO8 after structural relaxation, computed with GGA+U.

Lattice parameters (Å, degrees): 8.6635 4.3053 4.3053 90.00 90.00 90.00
Last column: nearest neighbours and their distance in Å.
Fractional positions:
Mg (0.0000, 0.5000, 0.5000)  6 O 2.15-2.17
Mg (0.5000, 0.5000, 0.5000)  6 O 2.15-2.16
Mg (0.2490, 0.0000, 0.5000)  6 O 2.15-2.17
Mg (0.7510, 0.0000, 0.5000)  6 O 2.15-2.17
Mg (0.2490, 0.5000, 0.0000)  6 O 2.15-2.17
Mg (0.7510, 0.5000, 0.0000)  6 O 2.15-2.17
Ti (0.5000, 0.0000, 0.0000)  6 O 2.15-2.17
V (0.0000, 0.0000, 0.0000)  6 O 2.15-2.16
O (0.2490, 0.0000, 0.0000)  4 Mg 2.15, 1 V 2.16, 1 Ti 2.17
O (0.7510, 0.0000, 0.0000)  4 Mg 2.15, 1 V 2.16, 1 Ti 2.17
O (0.2502, 0.5000, 0.5000)  6 Mg 2.15-2.17
O (0.7498, 0.5000, 0.5000)  6 Mg 2.15-2.17
O (0.0000, 0.0000, 0.5000)  4 Mg 2.15-2.16, 2 V 2.15
O (0.5000, 0.0000, 0.5000)  4 Mg 2.15-2.17, 2 Ti 2.15
O (0.0000, 0.5000, 0.0000)  4 Mg 2.15-2.16, 2 V 2.15
O (0.5000, 0.5000, 0.0000)  4 Mg 2.15-2.17, 2 Ti 2.15

Total magnetization: 4.96 μB per formula unit
SG: P4/mmm (123)

=====

(x)
Mg6TiVO8 after structural relaxation, computed with GGA+U.

Lattice parameters (Å, degrees): 8.6379 4.2880 4.2880 90.00 90.00 90.00
Last column: nearest neighbours and their distance in Å.
Fractional positions:
Mg (0.5000, 0.0000, 0.0000)  6 O 2.12-2.14
Mg (0.5000, 0.5000, 0.5000)  6 O 2.11-2.14
Mg (0.2520, 0.0000, 0.5000)  6 O 2.14-2.18
Mg (0.7480, 0.0000, 0.5000)  6 O 2.14-2.18
Mg (0.2520, 0.5000, 0.0000)  6 O 2.14-2.18
Mg (0.7480, 0.5000, 0.0000)  6 O 2.14-2.18
Ti (0.0000, 0.5000, 0.5000)  6 O 2.14-2.21
V (0.0000, 0.0000, 0.0000)  6 O 2.14-2.20
O (0.2550, 0.0000, 0.0000)  5 Mg 2.12-2.14, 1 V 2.20
O (0.7450, 0.0000, 0.0000)  5 Mg 2.12-2.14, 1 V 2.20
O (0.2556, 0.5000, 0.5000)  5 Mg 2.11-2.14, 1 Ti 2.21
O (0.7444, 0.5000, 0.5000)  5 Mg 2.11-2.14, 1 Ti 2.21
O (0.0000, 0.0000, 0.5000)  2 Ti 2.14, 2 V 2.14, 2 Mg 2.18
O (0.5000, 0.0000, 0.5000)  6 Mg 2.14
O (0.0000, 0.5000, 0.0000)  2 Ti 2.14, 2 V 2.14, 2 Mg 2.18
O (0.5000, 0.5000, 0.0000)  6 Mg 2.14

Total magnetization: 1.00 μB per formula unit
SG: P4/mmm (123)

=====

The most stable arrangement is (x), and the next structure is 0.029 eV/atom less stable.

=====

(w)
Mg2V3O8 after structural relaxation, computed with GGA+U.

Lattice parameters (Å, degrees): 5.9957 8.8599 6.4755 95.02 117.58 70.22
Last column: nearest neighbours and their distance in Å.
Fractional positions:
Mg (0.8280, 0.8968, 0.5527)  6 O 2.06-2.24
Mg (0.3281, 0.3969, 0.0530)  6 O 2.06-2.24
Mg (0.1720, 0.1031, 0.4470)  6 O 2.06-2.24
Mg (0.6721, 0.6032, 0.9473)  6 O 2.06-2.24
V (0.7497, 0.2500, 0.7500)  6 O 1.87-2.01
V (0.2717, 0.0001, 0.9999)  4 O 1.89-1.90
V (0.7720, 0.4998, 0.5001)  4 O 1.89-1.90
V (0.2497, 0.7500, 0.2500)  6 O 1.87-2.01
V (0.2281, 0.4998, 0.5002)  4 O 1.89-1.90
V (0.7278, 0.0002, 0.9998)  4 O 1.89-1.90
O (0.0435, 0.3504, 0.4376)  2 V 1.90, 1 Mg 2.06
O (0.5433, 0.8506, 0.9373)  2 V 1.90, 1 Mg 2.06
O (0.9565, 0.6494, 0.5627)  2 V 1.90, 1 Mg 2.06
O (0.4563, 0.1496, 0.0624)  2 V 1.90, 1 Mg 2.06
O (0.5489, 0.3449, 0.4428)  1 V 1.87
O (0.0488, 0.8450, 0.9427)  1 V 1.87
O (0.4511, 0.6550, 0.5573)  1 V 1.87
O (0.9510, 0.1551, 0.0573)  1 V 1.87
O (0.4224, 0.9199, 0.3142)  2 V 1.89-2.01
O (0.9226, 0.4198, 0.8144)  2 V 1.89-2.01
O (0.9721, 0.9198, 0.3140)  2 V 1.89-2.01
O (0.4723, 0.4197, 0.8142)  2 V 1.89-2.01
O (0.0280, 0.0802, 0.6856)  2 V 1.89-2.01
O (0.5281, 0.5801, 0.1858)  2 V 1.89-2.01
O (0.5779, 0.0803, 0.6858)  2 V 1.89-2.01
O (0.0780, 0.5802, 0.1860)  2 V 1.89-2.01

Total magnetization: 1.00 μB per formula unit

=====

(x)
Mg2V3O8 after structural relaxation, computed with GGA+U.

Lattice parameters (Å, degrees): 5.9139 5.9186 9.5166 89.92 90.05 119.98
Last column: nearest neighbours and their distance in Å.
Fractional positions:
Mg (0.6672, 0.3341, 0.0218)  6 O 2.10-2.14
Mg (0.3330, 0.6659, 0.5227)  6 O 2.10-2.14
Mg (0.6667, 0.3326, 0.4210)  4 O 1.97-2.00
Mg (0.3330, 0.6659, 0.9216)  4 O 1.97-2.00
V (0.1640, 0.3266, 0.2439)  6 O 1.85-2.06
V (0.8350, 0.6732, 0.7439)  6 O 1.85-2.05
V (0.1620, 0.8362, 0.2445)  6 O 1.85-2.05
V (0.6737, 0.8380, 0.2446)  6 O 1.85-2.05
V (0.8379, 0.1641, 0.7446)  6 O 1.85-2.05
V (0.3256, 0.1608, 0.7442)  6 O 1.85-2.05
O (0.0007, 0.0007, 0.3528)  3 V 1.96-1.97
O (0.9996, 0.9989, 0.8533)  3 V 1.97
O (0.3335, 0.6673, 0.1318)  1 Mg 2.00, 3 V 2.05
O (0.6664, 0.3331, 0.6315)  1 Mg 2.00, 3 V 2.05
O (0.8223, 0.1499, 0.1462)  2 V 1.85-1.98
O (0.6726, 0.8223, 0.6462)  2 V 1.85-1.99
O (0.1491, 0.3263, 0.6462)  2 V 1.85-1.98
O (0.8523, 0.6757, 0.1449)  2 V 1.85-1.99
O (0.3280, 0.1795, 0.1463)  2 V 1.85-1.99
O (0.1772, 0.8497, 0.6462)  2 V 1.85-1.98
O (0.5062, 0.4688, 0.8645)  2 V 1.96-2.05, 2 Mg 1.97-2.13
O (0.0375, 0.5066, 0.3649)  2 V 1.95-2.05, 2 Mg 1.97-2.13
O (0.4686, 0.9621, 0.3651)  2 V 1.95-2.05, 2 Mg 1.97-2.13
O (0.5306, 0.0369, 0.8648)  2 V 1.95-2.05, 2 Mg 1.98-2.14
O (0.9627, 0.4929, 0.8646)  2 V 1.96-2.05, 2 Mg 1.97-2.13
O (0.4947, 0.5319, 0.3649)  2 V 1.95-2.06, 2 Mg 1.98-2.14

Total magnetization: 3.00 μB per formula unit
SG: P1 (1)

=====

The most stable arrangement is (x), and the next structure is 0.015 eV/atom less stable.